VASP calculation (meta-GGA r2SCAN) on crystalline Tb at its relaxed geometry.

abc: 3.6725 3.6725 5.6014
angles: 90.00 90.00 120.00
Last column: nearest neighbours and their distance in Å.
Element x y z (fractional)
Tb  0.3333  0.6667  0.2500  12 Tb 3.51-3.67
Tb  0.6667  0.3333  0.7500  12 Tb 3.51-3.67

Offset from the most stable computed form: 0 meV/atom
Symmetry: P6_3/mmc (194)